Entry 1:
Below is an optimized crystal structure of LiMnF4, with properties calculated at the PBE with a Hubbard U level.

```
data_LiMnF4
_chemical_formula_sum 'Li2 Mn2 F8'
_symmetry_space_group_name_H-M 'P m m n'
_symmetry_Int_Tables_number 59
_cell_length_a 6.4178
_cell_length_b 6.7064
_cell_length_c 3.1715
_cell_angle_alpha 90.00
_cell_angle_beta 90.00
_cell_angle_gamma 90.00
loop_
_symmetry_equiv_pos_as_xyz
'x,y,z'
'-x,-y,-z'
'-x+1/2,-y+1/2,z'
'x+1/2,y+1/2,-z'
'x+1/2,-y,-z'
'-x+1/2,y,z'
'-x,y+1/2,-z'
'x,-y+1/2,z'
loop_
_atom_site_label
_atom_site_fract_x
_atom_site_fract_y
_atom_site_fract_z
Li1 0.2500 0.2500 0.0171
Mn1 0.2500 0.7500 0.5035
F1 0.0382 0.2500 0.5011
F2 0.2500 0.5577 0.0043
```

Output
As for the formation energy from the elements: -2.917 eV/atom. Its crystal system is orthorhombic. The calculation puts the energy at -5.45 eV per atom. For the theoretical density, the calculation gives 3.35 g/cm3.

---

Entry 2:
Below is an optimized crystal structure of TiFe2Ni3P6O24, with properties calculated at the PBE with a Hubbard U level.

```
data_TiFe2Ni3P6O24
_chemical_formula_sum 'Ti3 Fe6 Ni9 P18 O72'
_symmetry_space_group_name_H-M 'R 3'
_symmetry_Int_Tables_number 146
_symmetry_space_group_name_Hall 'R 3'
_cell_length_a 8.6544
_cell_length_b 8.6544
_cell_length_c 20.3268
_cell_angle_alpha 90.00
_cell_angle_beta 90.00
_cell_angle_gamma 120.00
loop_
_atom_site_label
_atom_site_fract_x
_atom_site_fract_y
_atom_site_fract_z
Ti1 0.0000 0.0000 0.0000
Fe1 0.0000 0.0000 0.1493
Fe2 0.0000 0.0000 0.6482
Ni1 0.0000 0.0000 0.2918
Ni2 0.0000 0.0000 0.5047
Ni3 0.0000 0.0000 0.7901
P1 0.9996 0.2995 0.8960
P2 0.0011 0.6999 0.3969
O1 0.0037 0.8325 0.0734
O2 0.0133 0.1820 0.5802
O3 0.0128 0.8007 0.4599
O4 0.0232 0.1993 0.9556
O5 0.1414 0.6828 0.0034
O6 0.1418 0.4499 0.5008
O7 0.1619 0.6690 0.3845
O8 0.1650 0.4883 0.8857
```

Output
As for the formation energy from the elements: -2.277 eV/atom. Its crystal system is trigonal. The calculation puts the energy at -6.85 eV per atom. For the theoretical density, the calculation gives 3.42 g/cm3.

---

Entry 3:
Below is an optimized crystal structure of MgMn2O4, with properties calculated at the PBE with a Hubbard U level.

```
data_MgMn2O4
_chemical_formula_sum 'Mg4 Mn8 O16'
_symmetry_space_group_name_H-M 'P 1'
_symmetry_Int_Tables_number 1
_cell_length_a 6.0261
_cell_length_b 6.0699
_cell_length_c 8.5742
_cell_angle_alpha 90.05
_cell_angle_beta 90.39
_cell_angle_gamma 91.86
loop_
_symmetry_equiv_pos_as_xyz
'x,y,z'
loop_
_atom_site_label
_atom_site_fract_x
_atom_site_fract_y
_atom_site_fract_z
Mg1 0.0000 0.0000 0.0000
Mg2 0.2327 0.0009 0.6247
Mg3 0.4972 0.4939 0.5050
Mg4 0.7368 0.5038 0.1219
Mn1 0.2301 0.5035 0.1184
Mn2 0.4662 0.0092 0.2436
Mn3 0.4818 0.2531 0.8731
Mn4 0.4829 0.7514 0.8697
Mn5 0.7343 0.0032 0.6265
Mn6 0.9676 0.5088 0.7424
Mn7 0.9817 0.7539 0.3721
Mn8 0.9826 0.2586 0.3773
O1 0.1901 0.0082 0.3839
O2 0.2211 0.4822 0.3769
O3 0.2537 0.5296 0.8658
O4 0.2745 0.9927 0.8671
O5 0.4722 0.2787 0.0997
O6 0.4775 0.7311 0.1000
O7 0.4919 0.7737 0.6383
O8 0.5044 0.2248 0.6443
O9 0.6901 0.5127 0.8784
O10 0.7271 0.9742 0.8571
O11 0.7347 0.0290 0.3979
O12 0.7663 0.5023 0.3666
O13 0.9589 0.7821 0.6027
O14 0.9729 0.2162 0.6329
O15 0.9924 0.2835 0.1153
O16 0.9963 0.7372 0.1430
```

Output
As for the formation energy from the elements: -2.313 eV/atom. Its crystal system is triclinic. The calculation puts the energy at -7.12 eV per atom. For the theoretical density, the calculation gives 4.20 g/cm3.

---

Entry 4:
Below is an optimized crystal structure of Li9Co7O16, with properties calculated at the PBE with a Hubbard U level.

```
data_Li9Co7O16
_chemical_formula_sum 'Li9 Co7 O16'
_symmetry_space_group_name_H-M 'P -1'
_symmetry_Int_Tables_number 2
_cell_length_a 5.1027
_cell_length_b 7.6451
_cell_length_c 7.7585
_cell_angle_alpha 97.55
_cell_angle_beta 102.58
_cell_angle_gamma 102.91
loop_
_symmetry_equiv_pos_as_xyz
'x,y,z'
'-x,-y,-z'
loop_
_atom_site_label
_atom_site_fract_x
_atom_site_fract_y
_atom_site_fract_z
Li1 0.0000 0.0000 0.0000
Li2 0.0000 0.5000 0.5000
Li3 0.0026 0.1186 0.3759
Li4 0.0026 0.3727 0.1230
Li5 0.0079 0.7537 0.2528
Li6 0.5000 0.0000 0.5000
Co1 0.4973 0.2431 0.2547
Co2 0.4974 0.6266 0.3769
Co3 0.4993 0.8757 0.1291
Co4 0.5000 0.5000 0.0000
O1 0.2639 0.8717 0.8782
O2 0.2658 0.0094 0.2468
O3 0.2686 0.6243 0.1415
O4 0.2725 0.2586 0.0002
O5 0.2761 0.1464 0.6345
O6 0.2770 0.7366 0.4933
O7 0.2812 0.3872 0.3894
O8 0.2855 0.5010 0.7448
```

Output
As for the formation energy from the elements: -1.701 eV/atom. Its crystal system is triclinic. The calculation puts the energy at -5.57 eV per atom. For the theoretical density, the calculation gives 4.29 g/cm3.